Y2Al9Pd3, relaxed, DFT PBE-GGA; symmetry = No. 63; energy = -5.1366 eV per atom; energy of formation from the pure elements = -0.6950 eV/atom
1.0
6.632 -3.853 0.000
6.632 3.853 0.000
0.000 0.000 9.512
Y Al Pd
4 18 6
direct
0.006 0.669 0.750
0.331 0.994 0.750
0.669 0.006 0.250
0.994 0.331 0.250
0.001 0.666 0.076
0.001 0.666 0.424
0.128 0.872 0.250
0.334 0.666 0.559
0.334 0.666 0.941
0.334 0.999 0.076
0.334 0.999 0.424
0.337 0.455 0.250
0.455 0.337 0.750
0.545 0.663 0.250
0.663 0.545 0.750
0.666 0.001 0.576
0.666 0.001 0.924
0.666 0.334 0.059
0.666 0.334 0.441
0.872 0.128 0.750
0.999 0.334 0.576
0.999 0.334 0.924
0.000 0.000 0.000
0.000 0.000 0.500
0.329 0.329 0.000
0.329 0.329 0.500
0.671 0.671 0.000
0.671 0.671 0.500

=====

ZrAlPd2, relaxed, DFT PBE-GGA; symmetry = No. 225; energy = -6.4664 eV per atom; energy of formation from the pure elements = -0.8031 eV/atom
1.0
6.463 0.000 0.000
0.000 6.463 0.000
0.000 0.000 6.463
Zr Al Pd
4 4 8
direct
0.000 0.000 0.000
0.000 0.500 0.500
0.500 0.000 0.500
0.500 0.500 0.000
0.000 0.000 0.500
0.000 0.500 0.000
0.500 0.000 0.000
0.500 0.500 0.500
0.250 0.250 0.250
0.250 0.250 0.750
0.250 0.750 0.250
0.250 0.750 0.750
0.750 0.250 0.250
0.750 0.250 0.750
0.750 0.750 0.250
0.750 0.750 0.750

=====

PmAl3, relaxed, DFT PBE-GGA; symmetry = No. 194; energy = -4.4428 eV per atom; energy of formation from the pure elements = -0.4460 eV/atom
1.0
6.446 0.000 0.000
-3.223 5.583 0.000
0.000 0.000 4.631
Pm Al
2 6
direct
0.333 0.667 0.250
0.667 0.333 0.750
0.143 0.286 0.750
0.143 0.857 0.750
0.286 0.143 0.250
0.714 0.857 0.750
0.857 0.143 0.250
0.857 0.714 0.250

=====

PmYAl2, relaxed, DFT PBE-GGA; symmetry = No. 225; energy = -5.0687 eV per atom; energy of formation from the pure elements = -0.3916 eV/atom
1.0
7.308 0.000 0.000
0.000 7.308 0.000
0.000 0.000 7.308
Pm Y Al
4 4 8
direct
0.000 0.000 0.000
0.000 0.500 0.500
0.500 0.000 0.500
0.500 0.500 0.000
0.000 0.000 0.500
0.000 0.500 0.000
0.500 0.000 0.000
0.500 0.500 0.500
0.250 0.250 0.250
0.250 0.250 0.750
0.250 0.750 0.250
0.250 0.750 0.750
0.750 0.250 0.250
0.750 0.250 0.750
0.750 0.750 0.250
0.750 0.750 0.750

=====

Pm2AlZn, relaxed, DFT PBE-GGA; symmetry = No. 225; energy = -3.9728 eV per atom; energy of formation from the pure elements = -0.3462 eV/atom
1.0
7.381 0.000 0.000
0.000 7.381 0.000
0.000 0.000 7.381
Pm Al Zn
8 4 4
direct
0.250 0.250 0.250
0.250 0.250 0.750
0.250 0.750 0.250
0.250 0.750 0.750
0.750 0.250 0.250
0.750 0.250 0.750
0.750 0.750 0.250
0.750 0.750 0.750
0.000 0.000 0.000
0.000 0.500 0.500
0.500 0.000 0.500
0.500 0.500 0.000
0.000 0.000 0.500
0.000 0.500 0.000
0.500 0.000 0.000
0.500 0.500 0.500

=====

PrAl, relaxed, DFT PBE-GGA; symmetry = No. 63; energy = -4.6497 eV per atom; energy of formation from the pure elements = -0.3865 eV/atom
1.0
9.347 0.000 0.000
0.000 7.686 0.000
0.000 0.000 5.765
Pr Al
8 8
direct
0.180 0.159 0.250
0.180 0.841 0.750
0.320 0.341 0.750
0.320 0.659 0.250
0.680 0.341 0.750
0.680 0.659 0.250
0.820 0.159 0.250
0.820 0.841 0.750
0.000 0.198 0.750
0.000 0.500 0.000
0.000 0.500 0.500
0.000 0.802 0.250
0.500 0.000 0.000
0.500 0.000 0.500
0.500 0.302 0.250
0.500 0.698 0.750

=====

Pr4Al, relaxed, DFT PBE-GGA; symmetry = No. 227; energy = -4.1214 eV per atom; energy of formation from the pure elements = 0.4525 eV/atom
1.0
0.000 5.772 5.772
5.772 0.000 5.772
5.772 5.772 0.000
Pr Al
8 2
direct
0.197 0.768 0.768
0.232 0.232 0.232
0.232 0.232 0.803
0.232 0.803 0.232
0.768 0.197 0.768
0.768 0.768 0.197
0.768 0.768 0.768
0.803 0.232 0.232
0.375 0.375 0.375
0.625 0.625 0.625

=====

PrAl, relaxed, DFT PBE-GGA; symmetry = No. 221; energy = -4.5988 eV per atom; energy of formation from the pure elements = -0.3356 eV/atom
1.0
3.754 0.000 0.000
0.000 3.754 0.000
0.000 0.000 3.754
Pr Al
1 1
direct
0.000 0.000 0.000
0.500 0.500 0.500

=====

PrAl, relaxed, DFT PBE-GGA; symmetry = No. 57; energy = -4.6464 eV per atom; energy of formation from the pure elements = -0.3831 eV/atom
1.0
6.030 0.000 0.000
0.000 11.844 0.000
0.000 0.000 5.816
Pr Al
8 8
direct
0.096 0.165 0.250
0.096 0.335 0.750
0.334 0.012 0.750
0.334 0.488 0.250
0.666 0.512 0.750
0.666 0.988 0.250
0.904 0.665 0.250
0.904 0.835 0.750
0.168 0.603 0.750
0.168 0.897 0.250
0.427 0.750 0.000
0.427 0.750 0.500
0.573 0.250 0.000
0.573 0.250 0.500
0.832 0.103 0.750
0.832 0.397 0.250

=====

Pr3Al, relaxed, DFT PBE-GGA; offset from the most stable computed form = 0.000 eV per atom; symmetry = No. 194; energy = -4.6913 eV per atom; energy of formation from the pure elements = -0.1692 eV/atom
1.0
7.160 0.000 0.000
-3.580 6.201 0.000
0.000 0.000 5.473
Pr Al
6 2
direct
0.178 0.357 0.250
0.178 0.822 0.250
0.357 0.178 0.750
0.643 0.822 0.250
0.822 0.178 0.750
0.822 0.643 0.750
0.333 0.667 0.750
0.667 0.333 0.250

=====

Pr3Al, relaxed, DFT PBE-GGA; offset from the most stable computed form = 0.009 eV per atom; symmetry = No. 221; energy = -4.6822 eV per atom; energy of formation from the pure elements = -0.1601 eV/atom
1.0
4.932 0.000 0.000
0.000 4.932 0.000
0.000 0.000 4.932
Pr Al
3 1
direct
0.000 0.000 0.500
0.000 0.500 0.000
0.500 0.000 0.000
0.500 0.500 0.500

=====

PrAlPt, relaxed, DFT PBE-GGA; symmetry = No. 62; energy = -5.8953 eV per atom; energy of formation from the pure elements = -1.0294 eV/atom
1.0
7.225 0.000 0.000
0.000 4.521 0.000
0.000 0.000 7.901
Pr Al Pt
4 4 4
direct
0.028 0.250 0.182
0.472 0.750 0.682
0.528 0.250 0.318
0.972 0.750 0.818
0.146 0.250 0.567
0.354 0.750 0.067
0.646 0.250 0.933
0.854 0.750 0.433
0.215 0.750 0.389
0.285 0.250 0.889
0.715 0.750 0.111
0.785 0.250 0.611